[1]
Entry from the Materials Project: CdN after structural relaxation (PBE).

abc: 3.3389 3.3389 2.9754
angles: 90.00 90.00 120.00
Closest atoms and distances in Å follow each position.
Element x y z (fractional)
Cd: 0.0000 0.0000 0.0000  6 N 2.44
N: 0.3333 0.6667 0.5000  6 Cd 2.44

Values from the calculation:
* crystal system: hexagonal
* total DFT energy (no corrections): -6.91 eV for the cell shown
* ΔH_f (0 K): 0.99 eV/atom
* distance to the lowest polymorph of the same formula: 0.27 eV per formula unit


[2]
Entry from the Materials Project: Ba4Pb3O10 after structural relaxation (PBE).

abc: 4.3826 4.3831 15.6889
angles: 97.96 97.95 90.01
Closest atoms and distances in Å follow each position.
Element x y z (fractional)
Ba: 0.0000 0.0000 0.0000  10 O 2.91-3.16
Ba: 0.1219 0.1240 0.2783  11 O 2.93-3.27
Ba: 0.2533 0.2794 0.5447  4 O 2.60-2.91
Ba: 0.8482 0.8729 0.7335  3 O 2.60-2.90
Pb: 0.4092 0.4280 0.8554  6 O 2.18-2.20
Pb: 0.5547 0.5707 0.1392  6 O 2.19-2.20
Pb: 0.6931 0.7130 0.4230  6 O 2.18-2.20
O: 0.0563 0.5778 0.1460  2 Pb 2.19-2.20
O: 0.1927 0.7177 0.4218  2 Pb 2.19
O: 0.3352 0.3449 0.7139  1 Pb 2.18
O: 0.4085 0.9286 0.8578  2 Pb 2.19
O: 0.4382 0.5008 0.9975  2 Pb 2.19
O: 0.5529 0.0693 0.1327  2 Pb 2.19-2.20
O: 0.6216 0.6813 0.2808  2 Pb 2.19
O: 0.6932 0.2131 0.4200  2 Pb 2.19-2.20
O: 0.7631 0.7732 0.5646  1 Pb 2.18
O: 0.9080 0.4316 0.8574  2 Pb 2.18-2.20

Values from the calculation:
* crystal system: triclinic
* total DFT energy (no corrections): -98.84 eV for the cell shown
* ΔH_f (0 K): -2.20 eV/atom


[3]
Entry from the Materials Project: Li2CoCl4 after structural relaxation (PBE).

abc: 6.3066 6.3066 3.6274
angles: 90.00 90.00 109.39
Closest atoms and distances in Å follow each position.
Element x y z (fractional)
Li: 0.0000 0.5000 0.0000  6 Cl 2.57-2.58
Li: 0.5000 0.0000 0.0000  6 Cl 2.57-2.58
Co: 0.0000 0.0000 0.5000  6 Cl 2.44-2.46
Cl: 0.2279 0.2279 0.0000  2 Co 2.46, 2 Li 2.58
Cl: 0.2372 0.7628 0.5000  1 Co 2.44, 4 Li 2.57
Cl: 0.7628 0.2372 0.5000  1 Co 2.44, 4 Li 2.57
Cl: 0.7721 0.7721 0.0000  2 Co 2.46, 2 Li 2.58

Values from the calculation:
* crystal system: orthorhombic
* total DFT energy (no corrections): -27.23 eV for the cell shown
* ΔH_f (0 K): -1.62 eV/atom
* distance to the lowest polymorph of the same formula: 0.00 eV per formula unit


- Which value of total DFT energy (no corrections) does entry 3 give?
  -27.23 eV for the cell shown